# CaAl2SiO6 | the Materials Project database | GGA-PBE | relaxed
# offset from the most stable computed form	0	meV per atom
# total energy after the MP2020 corrections	-315.56	eV/cell
# E_form	-3.43	eV per atom
# total DFT energy (no corrections)	-7.477	eV/atom
data_CaAl2SiO6
_chemical_formula_sum 'Ca4 Al8 Si4 O24'
_symmetry_space_group_name_H-M 'P 1'
_symmetry_Int_Tables_number 1
_symmetry_space_group_name_Hall 'P 1'
_cell_length_a 5.3381
_cell_length_b 8.7393
_cell_length_c 9.6907
_cell_angle_alpha 89.61
_cell_angle_beta 74.49
_cell_angle_gamma 89.36
loop_
_atom_site_label
_atom_site_fract_x
_atom_site_fract_y
_atom_site_fract_z
Ca1 0.0000 0.0000 0.0000
Ca2 0.0074 0.1240 0.4979
Ca3 0.4984 0.5027 0.4980
Ca4 0.5096 0.6205 0.9962
Al1 0.0048 0.7184 0.4988
Al2 0.0208 0.4059 0.9931
Al3 0.1792 0.4076 0.2832
Al4 0.1824 0.7169 0.7825
Al5 0.3288 0.2138 0.7109
Al6 0.4932 0.2206 0.0009
Al7 0.5008 0.9010 0.4971
Al8 0.8306 0.7111 0.2136
Si1 0.3285 0.9059 0.2061
Si2 0.6771 0.2129 0.2881
Si3 0.6776 0.9102 0.7891
Si4 0.8295 0.4079 0.7091
O1 0.1213 0.3368 0.6410
O2 0.1369 0.7961 0.1419
O3 0.1924 0.5792 0.3694
O4 0.2103 0.5437 0.8645
O5 0.2273 0.2258 0.8998
O6 0.2382 0.8986 0.3835
O7 0.2708 0.7340 0.5944
O8 0.2847 0.3898 0.0960
O9 0.3061 0.0726 0.1334
O10 0.3118 0.0450 0.6207
O11 0.3859 0.2858 0.3548
O12 0.3870 0.8388 0.8517
O13 0.6210 0.8335 0.1442
O14 0.6359 0.2999 0.6445
O15 0.6915 0.0769 0.8628
O16 0.7029 0.0459 0.3604
O17 0.7355 0.7344 0.4031
O18 0.7470 0.3900 0.8869
O19 0.7575 0.2216 0.1095
O20 0.7709 0.8984 0.6109
O21 0.8081 0.5779 0.6415
O22 0.8157 0.5395 0.1259
O23 0.8715 0.3232 0.3500
O24 0.8724 0.8004 0.8545



# Cr5Si3 | the Materials Project database | GGA-PBE | relaxed
# total energy after the MP2020 corrections	-133.57	eV/cell
# E_form	-0.28	eV per atom
# total DFT energy (no corrections)	-8.375	eV/atom
data_Cr5Si3
_chemical_formula_sum 'Cr10 Si6'
_symmetry_space_group_name_H-M 'P 1'
_symmetry_Int_Tables_number 1
_symmetry_space_group_name_Hall 'P 1'
_cell_length_a 6.8209
_cell_length_b 6.8209
_cell_length_c 6.8209
_cell_angle_alpha 96.47
_cell_angle_beta 96.47
_cell_angle_gamma 140.78
loop_
_atom_site_label
_atom_site_fract_x
_atom_site_fract_y
_atom_site_fract_z
Cr1 0.0764 0.7720 0.8484
Cr2 0.2280 0.0764 0.3044
Cr3 0.2500 0.7500 0.5000
Cr4 0.2720 0.5764 0.8484
Cr5 0.4236 0.2720 0.6956
Cr6 0.5764 0.7280 0.3044
Cr7 0.7280 0.4236 0.1516
Cr8 0.7500 0.2500 0.5000
Cr9 0.7720 0.9236 0.6956
Cr10 0.9236 0.2280 0.1516
Si1 0.1673 0.3327 0.5000
Si2 0.2500 0.2500 0.0000
Si3 0.3327 0.8327 0.1653
Si4 0.6673 0.1673 0.8347
Si5 0.7500 0.7500 0.0000
Si6 0.8327 0.6673 0.5000



# EuAlAg4 | the Materials Project database | GGA-PBE | relaxed
# E_form	-0.20	eV per atom
# total DFT energy (no corrections)	-4.421	eV/atom
data_EuAlAg4
_chemical_formula_sum 'Eu1 Al1 Ag4'
_symmetry_space_group_name_H-M 'P 1'
_symmetry_Int_Tables_number 1
_symmetry_space_group_name_Hall 'P 1'
_cell_length_a 5.8157
_cell_length_b 5.8157
_cell_length_c 4.4160
_cell_angle_alpha 90.00
_cell_angle_beta 90.00
_cell_angle_gamma 120.00
loop_
_atom_site_label
_atom_site_fract_x
_atom_site_fract_y
_atom_site_fract_z
Eu1 0.0000 0.0000 0.0000
Al1 0.3333 0.6667 0.0000
Ag1 0.0066 0.5033 0.5000
Ag2 0.4967 0.5033 0.5000
Ag3 0.4967 0.9934 0.5000
Ag4 0.6667 0.3333 0.0000